Material: LiZr5TlF22
Method: DFT, PBE-GGA
State: optimized geometry

abc: 11.839 8.163 8.163
angles: 90.00 90.00 90.00
Space group Pnc2 (No. 30)
Unique sites:
Li 0.000 0.000 0.000 [2 per cell]
Zr 0.255 0.180 0.180 [4 per cell]
Zr 0.255 0.680 0.320 [4 per cell]
Zr 0.500 0.000 0.500 [2 per cell]
Tl 0.000 0.000 0.486 [2 per cell]
F 0.088 0.139 0.140 [4 per cell]
F 0.088 0.639 0.361 [4 per cell]
F 0.213 0.213 0.430 [4 per cell]
F 0.213 0.571 0.787 [4 per cell]
F 0.214 0.071 0.714 [4 per cell]
F 0.214 0.713 0.071 [4 per cell]
F 0.300 0.000 0.000 [4 per cell]
F 0.402 0.086 0.300 [4 per cell]
F 0.402 0.201 0.587 [4 per cell]
F 0.402 0.586 0.201 [4 per cell]
F 0.402 0.701 0.914 [4 per cell]

**ΔH_f (0 K)**: -3837 meV per atom
**Uncorrected energy**: -380.5 eV per cell
**Magnetization**: 0.0 μB/f.u.


Material: Li4UF8
Method: DFT, PBE-GGA
State: optimized geometry

abc: 9.965 10.128 5.893
angles: 90.00 90.00 90.00
Space group Pnma (No. 62)
Unique sites:
Li 0.101 0.080 0.130 [8 per cell]
Li 0.128 0.054 0.621 [8 per cell]
U 0.137 0.750 0.369 [4 per cell]
F 0.016 0.611 0.138 [8 per cell]
F 0.018 0.616 0.610 [8 per cell]
F 0.198 0.250 0.622 [4 per cell]
F 0.202 0.250 0.125 [4 per cell]
F 0.238 0.531 0.374 [8 per cell]

**ΔH_f (0 K)**: -3452 meV per atom
**Uncorrected energy**: -301.7 eV per cell
**Magnetization**: 0.0 μB/f.u.